1.
VASP calculation (PBE) on an optimized crystal structure of SnSb.

Cell lengths 4.3730, 4.3730, 4.3730 Å; angles 60.00, 60.00, 60.00 degrees
Fractional positions:
Sn 0.5000 0.5000 0.5000
Sb 0.0000 0.0000 0.0000

---

2.
VASP calculation (PBE) on an optimized crystal structure of SnSb.

Cell lengths 3.8033, 3.8033, 3.8033 Å; angles 90.00, 90.00, 90.00 degrees
Fractional positions:
Sn 0.5000 0.5000 0.5000
Sb 0.0000 0.0000 0.0000

## Properties
Magnetic moment (μB/f.u.): 0.00

---

In kJ/mol of atoms, the energy relative to the elements values for the records above are, in order, -8.1 5.1.